(1)
First-principles (PBE+U) data for an optimized crystal structure of Li2TiMnO4, as listed in the Materials Project database. Values from VASP.

```
&SYSTEM
  ibrav = 0, nat = 32, ntyp = 4
/
ATOMIC_SPECIES
Mn 54.94 Mn.upf
Li 6.94 Li.upf
O 16.00 O.upf
Ti 47.87 Ti.upf
CELL_PARAMETERS angstrom
3.471 -0.092 -4.890
4.670 1.958 3.291
2.235 -8.258 1.742
ATOMIC_POSITIONS angstrom
Mn 3.713 -5.726 0.907
Mn 6.664 -0.663 -0.763
Mn 6.047 -4.746 2.551
Mn 4.330 -1.647 -2.410
Li 4.929 -0.619 1.682
O 7.423 -5.097 -1.981
O 6.905 0.057 1.238
O 4.999 -3.690 -1.892
O 2.953 -1.296 2.125
Li 9.259 -2.263 -0.728
Li 4.071 0.933 -0.799
O 3.471 -6.450 -1.095
O 1.939 0.397 -0.471
O 0.504 -1.854 0.390
O 9.872 -4.539 -0.247
O 5.377 -2.703 2.035
Ti 8.141 1.866 -1.599
Ti 6.406 1.912 0.846
Li 5.806 0.887 -3.244
O 3.249 -3.593 0.542
Li 7.782 -4.794 0.108
Ti 5.188 -3.196 0.072
Li 2.594 -1.598 0.036
O 4.684 -1.343 -0.319
Li 7.523 -2.217 1.717
O 4.481 1.464 1.328
O 5.895 -7.857 -1.184
Li 5.447 -5.773 -1.538
O 7.127 -2.799 -0.399
Ti 6.924 -3.242 -2.373
O 5.692 -5.050 0.462
O 8.437 -6.790 0.614
```

Results
The value obtained for the calculated formation energy is -21.3 eV/f.u. The polymorph energy (0 for the lowest one) comes out at 0.008 eV/atom.

(2)
First-principles (PBE+U) data for an optimized crystal structure of Li3Mn4B4O12, as listed in the Materials Project database. Values from VASP.

```
&SYSTEM
  ibrav = 0, nat = 46, ntyp = 4
/
ATOMIC_SPECIES
Li 6.94 Li.upf
Mn 54.94 Mn.upf
B 10.81 B.upf
O 16.00 O.upf
CELL_PARAMETERS angstrom
5.288 0.000 0.000
0.260 6.187 0.000
0.700 2.919 15.388
ATOMIC_POSITIONS angstrom
Li 1.118 3.072 3.512
Li 1.741 0.841 0.461
Li 2.116 2.286 8.183
Li 4.133 6.820 7.204
Li 4.507 8.265 14.926
Li 5.130 6.034 11.876
Mn 1.421 5.682 8.315
Mn 1.108 4.239 0.614
Mn 2.106 5.739 3.353
Mn 2.504 7.152 11.041
Mn 3.744 1.954 4.347
Mn 4.142 3.367 12.035
Mn 5.140 4.867 14.774
Mn 4.827 3.424 7.073
B 1.194 1.174 5.765
B 1.800 8.716 13.429
B 2.462 5.599 13.491
B 2.110 3.994 5.819
B 4.138 5.112 9.569
B 3.786 3.507 1.897
B 4.448 0.389 1.958
B 5.055 7.932 9.623
O 0.753 6.217 1.792
O 1.122 7.661 9.495
O 1.634 6.138 12.532
O 1.349 4.516 4.834
O 1.935 5.326 14.762
O 1.627 3.874 7.139
O 1.786 1.433 4.515
O 2.133 2.579 12.151
O 2.227 6.944 6.821
O 2.600 8.413 14.516
O 2.450 3.801 2.171
O 2.852 5.631 9.815
O 3.396 3.475 5.573
O 3.798 5.305 13.217
O 3.648 0.693 0.872
O 4.021 2.161 8.567
O 4.115 6.526 3.237
O 4.462 7.673 10.873
O 4.622 5.231 8.249
O 4.314 3.780 0.626
O 4.899 4.590 10.554
O 4.614 2.968 2.856
O 5.127 1.444 5.893
O 5.495 2.889 13.596
```

Results
The value obtained for the calculated formation energy is -56.8 eV/f.u. The space group is P-1 (2). The polymorph energy (0 for the lowest one) comes out at 0.003 eV/atom.

(3)
First-principles (PBE+U) data for an optimized crystal structure of VW2O8, as listed in the Materials Project database. Values from VASP.

```
&SYSTEM
  ibrav = 0, nat = 11, ntyp = 3
/
ATOMIC_SPECIES
V 50.94 V.upf
W 183.84 W.upf
O 16.00 O.upf
CELL_PARAMETERS angstrom
4.949 0.000 0.000
-1.346 5.083 0.000
-0.146 -2.422 6.563
ATOMIC_POSITIONS angstrom
V 0.000 0.000 0.000
W 0.488 0.420 5.421
W 2.969 2.241 1.142
O -0.568 3.535 0.978
O -0.528 1.964 5.083
O 1.168 0.052 3.883
O 1.430 1.394 0.188
O 2.027 1.267 6.376
O 2.290 2.609 2.680
O 3.985 0.698 1.481
O 4.026 -0.874 5.585
```

Results
The value obtained for the calculated formation energy is -23.4 eV/f.u. The space group is P-1 (2). The polymorph energy (0 for the lowest one) comes out at 0.032 eV/atom.

(4)
First-principles (PBE+U) data for an optimized crystal structure of CoSn2O6F6, as listed in the Materials Project database. Values from VASP.

```
&SYSTEM
  ibrav = 0, nat = 15, ntyp = 4
/
ATOMIC_SPECIES
Co 58.93 Co.upf
Sn 118.71 Sn.upf
O 16.00 O.upf
F 19.00 F.upf
CELL_PARAMETERS angstrom
5.349 0.000 0.000
0.509 6.644 0.000
0.100 0.615 7.115
ATOMIC_POSITIONS angstrom
Co 0.000 0.000 0.000
Sn 1.837 2.947 2.971
Sn 4.120 4.312 4.144
O 1.390 6.173 5.931
O 1.505 5.656 1.076
O 1.330 1.661 6.377
O 4.628 5.598 0.738
O 4.453 1.603 6.039
O 4.568 1.086 1.184
F 0.698 3.796 4.691
F 1.432 1.113 3.418
F 2.288 2.731 1.098
F 3.670 4.528 6.017
F 4.526 6.146 3.698
F 5.259 3.463 2.425
```

Results
The value obtained for the calculated formation energy is -15.7 eV/f.u. The space group is P-1 (2). The polymorph energy (0 for the lowest one) comes out at 0.168 eV/atom.

(5)
First-principles (PBE+U) data for an optimized crystal structure of KVO3, as listed in the Materials Project database. Values from VASP.

```
&SYSTEM
  ibrav = 0, nat = 20, ntyp = 3
/
ATOMIC_SPECIES
K 39.10 K.upf
V 50.94 V.upf
O 16.00 O.upf
CELL_PARAMETERS angstrom
5.373 0.000 0.000
0.000 10.913 0.000
0.000 0.000 5.787
ATOMIC_POSITIONS angstrom
K 0.310 1.148 1.447
K 0.310 4.308 4.340
K 5.063 6.605 1.447
K 5.063 9.765 4.340
V 2.591 7.216 4.340
V 2.591 9.154 1.447
V 2.781 1.759 4.340
V 2.781 3.697 1.447
O 0.915 7.063 4.340
O 0.915 9.306 1.447
O 2.052 0.259 4.340
O 2.052 5.197 1.447
O 2.201 2.728 0.000
O 2.201 2.728 2.893
O 3.171 8.185 0.000
O 3.171 8.185 2.893
O 3.321 5.715 4.340
O 3.321 10.654 1.447
O 4.458 1.607 4.340
O 4.458 3.849 1.447
```

Results
The value obtained for the calculated formation energy is -12.1 eV/f.u. The space group is Pbcm (57).

(6)
First-principles (PBE+U) data for an optimized crystal structure of Mg6FeBiO8, as listed in the Materials Project database. Values from VASP.

```
&SYSTEM
  ibrav = 0, nat = 16, ntyp = 4
/
ATOMIC_SPECIES
Mg 24.30 Mg.upf
Fe 55.84 Fe.upf
Bi 208.98 Bi.upf
O 16.00 O.upf
CELL_PARAMETERS angstrom
4.531 0.000 0.000
0.000 4.531 0.000
0.000 0.000 8.892
ATOMIC_POSITIONS angstrom
Mg 0.000 0.000 0.000
Mg 0.000 2.266 2.082
Mg 0.000 2.266 6.810
Mg 2.266 0.000 2.082
Mg 2.266 0.000 6.810
Mg 2.266 2.266 0.000
Fe 0.000 0.000 4.446
Bi 2.266 2.266 4.446
O 0.000 0.000 2.171
O 0.000 0.000 6.722
O 0.000 2.266 0.000
O 0.000 2.266 4.446
O 2.266 0.000 0.000
O 2.266 0.000 4.446
O 2.266 2.266 2.000
O 2.266 2.266 6.893
```

Results
The value obtained for the calculated formation energy is -37.4 eV/f.u. The space group is P4/mmm (123). The polymorph energy (0 for the lowest one) comes out at 0.000 eV/atom.

Question: The lowest calculated formation energy belongs to which entry?
Answer: Li3Mn4B4O12

Question: What is the calculated formation energy in the fourth record?
Answer: -15.7 eV/f.u.